#A
Material: Ca3SiBr2
Method: DFT, PBE-GGA
State: optimized geometry

Cell lengths 10.0344, 10.0344, 10.0344 Å; angles 155.36, 155.36, 35.13 degrees
Closest atoms and distances in Å follow each position.
Element x y z (fractional)
Ca (0.0000, 0.0000, 0.0000)  4 Si 3.03
Ca (0.3555, 0.3555, 0.0000)  1 Si 2.76
Ca (0.6445, 0.6445, 0.0000)  1 Si 2.76
Si (0.5000, 0.5000, 0.0000)  6 Ca 2.76-3.03
Br (0.1858, 0.1858, 0.0000)  5 Ca 3.13-3.25
Br (0.8142, 0.8142, 0.0000)  5 Ca 3.13-3.25

Output
Total magnetization in μB per formula unit: 0.0
SG: No. 139

=====

#B
Material: Ca3SiBr2
Method: DFT, PBE-GGA
State: optimized geometry

Cell lengths 11.9854, 11.9854, 11.9854 Å; angles 20.59, 20.59, 20.59 degrees
Closest atoms and distances in Å follow each position.
Element x y z (fractional)
Ca (0.0000, 0.0000, 0.0000)  3 Si 2.95, 1 Ca 3.22
Ca (0.0917, 0.0917, 0.0917)  3 Si 2.96, 1 Ca 3.22
Ca (0.8767, 0.8767, 0.8767)  6 Br 2.98-2.99
Si (0.7123, 0.7123, 0.7123)  6 Ca 2.95-2.96
Br (0.2575, 0.2575, 0.2575)  3 Ca 2.98
Br (0.4959, 0.4959, 0.4959)  3 Ca 2.99

Output
Total magnetization in μB per formula unit: 0.0
SG: No. 160

=====

Energies relative to the minimum, meV/atom: #A 0; #B 140